The following is a PBE-GGA calculation of a relaxed structure of Na8Y2Si5Sn2SO24, from the Materials Project database.

Cell: 9.3414 9.3190 22.8772 Å, 90.31 89.41 120.10°
Sites, in units of the cell vectors:
Na (0.3225, 0.6533, 0.1694)
Na (0.6658, 0.9606, 0.5842)
Na (0.3297, 0.0191, 0.4166)
Na (0.3176, 0.2808, 0.9182)
Na (0.3340, 0.6666, 0.6653)
Na (0.2991, 0.3367, 0.5889)
Na (0.2820, 0.9646, 0.0809)
Na (0.0265, 0.0100, 0.9997)
Na (0.6741, 0.3318, 0.3317)
Na (0.7042, 0.0473, 0.9060)
Na (0.0385, 0.7030, 0.5842)
Na (0.9558, 0.2960, 0.4125)
Na (0.6682, 0.3225, 0.8293)
Na (0.6424, 0.0027, 0.2534)
Na (0.6375, 0.6355, 0.7453)
Na (0.6693, 0.6850, 0.0895)
Na (0.7131, 0.6801, 0.4194)
Na (0.9816, 0.6683, 0.9155)
Na (0.0483, 0.3408, 0.0884)
Na (0.9884, 0.9869, 0.5031)
Na (0.3673, 0.0062, 0.7487)
Na (0.3574, 0.3608, 0.2469)
Na (0.9948, 0.3617, 0.7487)
Na (0.9999, 0.6396, 0.2497)
O (0.4928, 0.1333, 0.6416)
O (0.3142, 0.4506, 0.4693)
O (0.8453, 0.2863, 0.5263)
O (0.0395, 0.2342, 0.1922)
O (0.3608, 0.4770, 0.3633)
O (0.7047, 0.5414, 0.5245)
O (0.1422, 0.4859, 0.5823)
O (0.0152, 0.8282, 0.4129)
O (0.7857, 0.9600, 0.6921)
O (0.6770, 0.1630, 0.7421)
O (0.1322, 0.4889, 0.8565)
O (0.1904, 0.0359, 0.5895)
O (0.3658, 0.8700, 0.8571)
O (0.1422, 0.6874, 0.4752)
O (0.3263, 0.8355, 0.2555)
O (0.3221, 0.4898, 0.7546)
O (0.1630, 0.9701, 0.9129)
O (0.8089, 0.0373, 0.8075)
O (0.4985, 0.1651, 0.2409)
O (0.8578, 0.3598, 0.9147)
O (0.2326, 0.1910, 0.8066)
O (0.4879, 0.3551, 0.1422)
O (0.8541, 0.5458, 0.0255)
O (0.5079, 0.6418, 0.5815)
O (0.1480, 0.4457, 0.9726)
O (0.1916, 0.9614, 0.1934)
O (0.8320, 0.5126, 0.7416)
O (0.6398, 0.5159, 0.9180)
O (0.1760, 0.2172, 0.6921)
O (0.7601, 0.8095, 0.1929)
O (0.8188, 0.0250, 0.0891)
O (0.6707, 0.5088, 0.2459)
O (0.1694, 0.4938, 0.2581)
O (0.1452, 0.6509, 0.0860)
O (0.4911, 0.3603, 0.4198)
O (0.8315, 0.3251, 0.2432)
O (0.6435, 0.1193, 0.1375)
O (0.1659, 0.6855, 0.7503)
O (0.2377, 0.0485, 0.3075)
O (0.5197, 0.8722, 0.0808)
O (0.6340, 0.1512, 0.4223)
O (0.5110, 0.8817, 0.3593)
O (0.9679, 0.1525, 0.5908)
O (0.3695, 0.5096, 0.0853)
O (0.7918, 0.8164, 0.9108)
O (0.4879, 0.3232, 0.7412)
O (0.9553, 0.7681, 0.8071)
O (0.0351, 0.8263, 0.6917)
O (0.3540, 0.8659, 0.5825)
O (0.8438, 0.8088, 0.5888)
O (0.9711, 0.8115, 0.0877)
O (0.8428, 0.4898, 0.4219)
O (0.4997, 0.1461, 0.9137)
O (0.3166, 0.8586, 0.9748)
O (0.5149, 0.8267, 0.7542)
O (0.8704, 0.5062, 0.1414)
O (0.5514, 0.8513, 0.4740)
O (0.1153, 0.6246, 0.3597)
O (0.6405, 0.5082, 0.6418)
O (0.5222, 0.6457, 0.8627)
O (0.5017, 0.6702, 0.2612)
O (0.4505, 0.3028, 0.0256)
O (0.1900, 0.2064, 0.4115)
O (0.4570, 0.1668, 0.5253)
O (0.8720, 0.3619, 0.6422)
O (0.6900, 0.1380, 0.0316)
O (0.9606, 0.1930, 0.3076)
O (0.8189, 0.0006, 0.4121)
O (0.0096, 0.1794, 0.9125)
O (0.5488, 0.6883, 0.9690)
O (0.1832, 0.1728, 0.0876)
O (0.8088, 0.7725, 0.3069)
S (0.3375, 0.3730, 0.4163)
S (0.6246, 0.6672, 0.9150)
S (0.6683, 0.0396, 0.0847)
Si (0.9578, 0.3243, 0.5864)
Si (0.0369, 0.3671, 0.9141)
Si (0.3709, 0.3337, 0.0846)
Si (0.9950, 0.6995, 0.7478)
Si (0.3747, 0.0505, 0.5851)
Si (0.6728, 0.6244, 0.5847)
Si (0.9598, 0.6304, 0.0842)
Si (0.0000, 0.3096, 0.2504)
Si (0.6880, 0.6939, 0.2511)
Si (0.3339, 0.9610, 0.9152)
Si (0.6311, 0.9693, 0.4178)
Si (0.3029, 0.3027, 0.7482)
Si (0.0305, 0.6616, 0.4186)
Si (0.3106, 0.0040, 0.2498)
Si (0.6993, 0.9988, 0.7492)
Sn (0.6678, 0.3335, 0.6841)
Sn (0.6686, 0.3446, 0.1863)
Sn (0.6790, 0.3302, 0.4874)
Sn (0.3217, 0.6688, 0.8100)
Sn (0.3287, 0.6778, 0.3159)
Sn (0.9997, 0.0000, 0.6497)
Y (0.0071, 0.0044, 0.8446)
Y (0.0044, 0.9995, 0.1557)
Y (0.9968, 0.9966, 0.3455)
Y (0.6658, 0.3327, 0.9808)
Y (0.3353, 0.6747, 0.5216)
Y (0.3178, 0.6565, 0.0187)

Computed properties:
Formation enthalpy at 0 K: -2730 meV/atom
Calculated volume: 1722.93 Å³ per cell
Mass density: 3.34 g cm⁻³
Magnetization: 0.0 μB per cell



The following is a PBE-GGA calculation of a relaxed structure of Si2SnO6, from the Materials Project database.

Cell: 5.1418 10.8977 19.1378 Å, 90.00 90.00 90.00°
Sites, in units of the cell vectors:
O (0.2593, 0.6488, 0.4417)
O (0.4679, 0.7796, 0.5467)
O (0.8309, 0.7784, 0.2041)
O (0.3141, 0.0471, 0.9298)
O (0.7593, 0.3512, 0.0583)
O (0.3646, 0.3548, 0.6919)
O (0.8646, 0.1452, 0.6919)
O (0.1691, 0.2216, 0.7959)
O (0.1775, 0.4547, 0.3201)
O (0.3225, 0.4547, 0.8201)
O (0.9679, 0.7204, 0.5467)
O (0.2407, 0.1488, 0.5583)
O (0.6775, 0.0453, 0.3201)
O (0.6691, 0.2784, 0.7959)
O (0.2407, 0.6488, 0.9417)
O (0.8225, 0.5453, 0.6799)
O (0.1775, 0.9547, 0.1799)
O (0.8141, 0.4529, 0.9298)
O (0.8646, 0.6452, 0.8081)
O (0.0321, 0.7796, 0.0467)
O (0.3225, 0.9547, 0.6799)
O (0.7593, 0.8512, 0.4417)
O (0.0321, 0.2796, 0.4533)
O (0.1354, 0.3548, 0.1919)
O (0.3141, 0.5471, 0.5702)
O (0.8225, 0.0453, 0.8201)
O (0.2593, 0.1488, 0.0583)
O (0.3309, 0.2216, 0.2959)
O (0.3309, 0.7216, 0.2041)
O (0.6775, 0.5453, 0.1799)
O (0.5321, 0.7204, 0.0467)
O (0.7407, 0.8512, 0.9417)
O (0.6354, 0.6452, 0.3081)
O (0.6859, 0.9529, 0.0702)
O (0.5321, 0.2204, 0.4533)
O (0.1354, 0.8548, 0.3081)
O (0.1859, 0.5471, 0.0702)
O (0.7407, 0.3512, 0.5583)
O (0.6859, 0.4529, 0.4298)
O (0.1859, 0.0471, 0.4298)
O (0.9679, 0.2204, 0.9533)
O (0.4679, 0.2796, 0.9533)
O (0.3646, 0.8548, 0.8081)
O (0.6354, 0.1452, 0.1919)
O (0.6691, 0.7784, 0.7041)
O (0.1691, 0.7216, 0.7041)
O (0.8309, 0.2784, 0.2959)
O (0.8141, 0.9529, 0.5702)
Si (0.6211, 0.6705, 0.2236)
Si (0.7410, 0.3281, 0.4737)
Si (0.2590, 0.1719, 0.9737)
Si (0.3789, 0.8295, 0.7236)
Si (0.1211, 0.3295, 0.2764)
Si (0.7590, 0.3281, 0.9737)
Si (0.7410, 0.8281, 0.0263)
Si (0.2410, 0.1719, 0.4737)
Si (0.8789, 0.6705, 0.7236)
Si (0.2590, 0.6719, 0.5263)
Si (0.8789, 0.1705, 0.7764)
Si (0.7590, 0.8281, 0.5263)
Si (0.1211, 0.8295, 0.2236)
Si (0.3789, 0.3295, 0.7764)
Si (0.2410, 0.6719, 0.0263)
Si (0.6211, 0.1705, 0.2764)
Sn (0.5633, 0.9545, 0.8741)
Sn (0.9367, 0.4545, 0.1259)
Sn (0.0633, 0.5455, 0.8741)
Sn (0.9367, 0.9545, 0.3741)
Sn (0.0633, 0.0455, 0.6259)
Sn (0.4367, 0.5455, 0.3741)
Sn (0.5633, 0.4545, 0.6259)
Sn (0.4367, 0.0455, 0.1259)

Computed properties:
Formation enthalpy at 0 K: -2741 meV/atom
Calculated volume: 1072.36 Å³ per cell
Mass density: 3.36 g cm⁻³
Offset from the most stable computed form: 0.67 eV per formula unit
Magnetization: 0.0 μB per cell



The following is a PBE-GGA calculation of a relaxed structure of CsHgCl3, from the Materials Project database.

Cell: 13.7115 13.7115 9.6907 Å, 90.00 90.00 120.00°
Sites, in units of the cell vectors:
Hg (0.2269, 0.1163, 0.9780)
Hg (0.2214, 0.7814, 0.6408)
Hg (0.2186, 0.4399, 0.3075)
Hg (0.5590, 0.1108, 0.3191)
Hg (0.5518, 0.4410, 0.6525)
Hg (0.8837, 0.1106, 0.6447)
Hg (0.8894, 0.7731, 0.3113)
Hg (0.5601, 0.7786, 0.9742)
Hg (0.8892, 0.4482, 0.9858)
Cl (0.3986, 0.9523, 0.4970)
Cl (0.3955, 0.7675, 0.8669)
Cl (0.4247, 0.4490, 0.4872)
Cl (0.2093, 0.8970, 0.8203)
Cl (0.9129, 0.9863, 0.4960)
Cl (0.5537, 0.6014, 0.8304)
Cl (0.7444, 0.1403, 0.4648)
Cl (0.6877, 0.7907, 0.1536)
Cl (0.0137, 0.9266, 0.1627)
Cl (0.7158, 0.4430, 0.7461)
Cl (0.7164, 0.9444, 0.8061)
Cl (0.5570, 0.2728, 0.4128)
Cl (0.0734, 0.0871, 0.8294)
Cl (0.0556, 0.7720, 0.4727)
Cl (0.3720, 0.6045, 0.2002)
Cl (0.0477, 0.4463, 0.1637)
Cl (0.7272, 0.2842, 0.0795)
Cl (0.3420, 0.0787, 0.1327)
Cl (0.7367, 0.6580, 0.4660)
Cl (0.0243, 0.5753, 0.8205)
Cl (0.2280, 0.2836, 0.1394)
Cl (0.2325, 0.6280, 0.5335)
Cl (0.9213, 0.2633, 0.7994)
Cl (0.1030, 0.3123, 0.4869)
Cl (0.8597, 0.6041, 0.1315)
Cl (0.3959, 0.2556, 0.7981)
Cl (0.5510, 0.9757, 0.1538)
Cs (0.2313, 0.4453, 0.8279)
Cs (0.5506, 0.4476, 0.1356)
Cs (0.8898, 0.1173, 0.1433)
Cs (0.8970, 0.4494, 0.4689)
Cs (0.2139, 0.7687, 0.1612)
Cs (0.8827, 0.7724, 0.8100)
Cs (0.5547, 0.7861, 0.4946)
Cs (0.2276, 0.1102, 0.4767)
Cs (0.5524, 0.1030, 0.8023)

Computed properties:
Formation enthalpy at 0 K: -1557 meV/atom
Calculated volume: 1577.82 Å³ per cell
Maximum piezoelectric response: 0.21 C/m2
Mass density: 4.17 g cm⁻³
Offset from the most stable computed form: 0.00 eV per formula unit



The following is a PBE-GGA calculation of a relaxed structure of YMg6AlO8, from the Materials Project database.

Cell: 8.8030 4.4934 4.4934 Å, 90.00 90.00 90.00°
Sites, in units of the cell vectors:
Mg (0.0000, 0.5000, 0.5000)
Mg (0.7624, 0.5000, 0.0000)
Mg (0.2376, 0.0000, 0.5000)
Mg (0.7624, 0.0000, 0.5000)
Mg (0.5000, 0.5000, 0.5000)
Mg (0.2376, 0.5000, 0.0000)
O (0.0000, 0.0000, 0.5000)
O (0.2483, 0.5000, 0.5000)
O (0.2380, 0.0000, 0.0000)
O (0.5000, 0.5000, 0.0000)
O (0.5000, 0.0000, 0.5000)
O (0.7620, 0.0000, 0.0000)
O (0.0000, 0.5000, 0.0000)
O (0.7517, 0.5000, 0.5000)
Y (0.5000, 0.0000, 0.0000)
Al (0.0000, 0.0000, 0.0000)

Computed properties:
Formation enthalpy at 0 K: -2732 meV/atom
Calculated volume: 177.73 Å³ per cell
Mass density: 3.64 g cm⁻³
Offset from the most stable computed form: 0.33 eV per formula unit
Magnetization: 0.0 μB per cell